Ba2Tl2Zn3Ni4O12: optimized geometry, GGA+U.

Summary:
Crystal system: monoclinic
Formation energy: -1469.9 meV per atom

POSCAR file:
```
Ba2Tl2Zn3Ni4O12
1.0
23.3510 -1.8600 0.0000
23.3510 1.8600 0.0000
-0.2734 0.0000 3.6089
Ba Tl Zn Ni O
2 2 3 4 12
Cartesian
0.0000 0.0000 0.0000
31.8132 0.0000 2.4257
5.5411 0.0000 0.4171
26.3121 0.0000 2.0342
35.6675 0.0000 2.7848
39.0175 0.0000 3.0265
42.2937 0.0000 3.2833
11.0383 0.0000 0.8240
14.1001 0.0000 1.1077
17.3478 0.0000 1.3374
20.6009 0.0000 1.5980
3.4171 0.0000 0.2585
7.6033 0.0000 0.5550
11.4725 0.0000 2.6720
14.8112 0.0000 2.9828
18.0843 0.0000 3.2088
21.3338 0.0000 3.4699
24.2623 0.0000 1.8844
28.4494 0.0000 2.1973
33.7901 0.0000 0.7582
36.8495 0.0000 1.0602
40.1243 0.0000 1.2964
43.3404 0.0000 1.5494
```